1.
# La2ZrCuO6

A relaxed structure of La2ZrCuO6 (PBE, the Materials Project).

Computed properties:
Density ... 6455 kg/m3
DFT total energy ... -8.07 eV/atom
Formation energy from the elements ... -3.260 eV per atom

Lattice parameters (Å, degrees): 7.9224 7.9039 8.6917 87.85 90.00 90.00
Closest atoms and distances in Å follow each position.
Element x y z (fractional)
La  0.7500  0.7966  0.7407  5 O 2.45-2.59
La  0.2500  0.7167  0.7058  6 O 2.45-2.63
La  0.7500  0.7690  0.3069  4 O 2.36-2.58
La  0.2500  0.2310  0.6931  4 O 2.36-2.58
La  0.7500  0.2849  0.7285  4 O 2.36-2.55
La  0.2500  0.7151  0.2715  4 O 2.36-2.55
La  0.2500  0.2034  0.2593  5 O 2.45-2.59
La  0.7500  0.2833  0.2942  6 O 2.45-2.63
Cu  0.5000  0.5000  0.5000  4 O 1.99-2.05
Cu  0.5000  0.0000  0.5000  4 O 2.01
Cu  0.0000  0.0000  0.5000  4 O 2.01
Cu  0.0000  0.5000  0.5000  4 O 1.99-2.05
O  0.5532  0.5662  0.2272  1 Zr 2.10
O  0.0319  0.2495  0.4531  2 Cu 2.01-2.05
O  0.4465  0.7519  0.9229  2 Zr 2.12-2.14
O  0.2500  0.9713  0.5315  2 Cu 2.01
O  0.7500  0.0287  0.4685  2 Cu 2.01
O  0.0535  0.7519  0.9229  2 Zr 2.12-2.14
O  0.4681  0.2495  0.4531  2 Cu 2.01-2.05
O  0.9465  0.2481  0.0771  2 Zr 2.12-2.14
O  0.9468  0.5662  0.2272  1 Zr 2.10
O  0.0532  0.4338  0.7728  1 Zr 2.10
O  0.0568  0.9421  0.2322  1 Zr 2.10
O  0.4468  0.4338  0.7728  1 Zr 2.10
O  0.7500  0.4721  0.5108  2 Cu 1.99
O  0.2500  0.0857  0.9637  2 Zr 2.11
O  0.9432  0.0579  0.7678  1 Zr 2.10
O  0.5535  0.2481  0.0771  2 Zr 2.12-2.14
O  0.7500  0.9143  0.0363  2 Zr 2.11
O  0.5319  0.7505  0.5469  2 Cu 2.01-2.05
O  0.2500  0.5279  0.4892  2 Cu 1.99
O  0.5568  0.0579  0.7678  1 Zr 2.10
O  0.9681  0.7505  0.5469  2 Cu 2.01-2.05
O  0.7500  0.5292  0.9120  2 Zr 2.13
O  0.4432  0.9421  0.2322  1 Zr 2.10
O  0.2500  0.4708  0.0880  2 Zr 2.13
Zr  0.5000  0.5000  0.0000  6 O 2.10-2.13
Zr  0.0000  0.0000  0.0000  6 O 2.10-2.14
Zr  0.5000  0.0000  0.0000  6 O 2.10-2.14
Zr  0.0000  0.5000  0.0000  6 O 2.10-2.13



2.
# CoCuS4

A relaxed structure of CoCuS4 (PBE, the Materials Project).

Computed properties:
Density ... 4637 kg/m3
DFT total energy ... -4.85 eV/atom
Formation energy from the elements ... -0.564 eV per atom

Lattice parameters (Å, degrees): 5.5932 5.5925 5.7425 89.00 90.00 90.00
Closest atoms and distances in Å follow each position.
Element x y z (fractional)
Cu  0.5000  0.5000  0.0000  6 S 2.39-2.53
Cu  0.0000  0.0000  0.0000  6 S 2.39-2.53
S  0.8825  0.8820  0.5921  1 S 2.13, 2 Co 2.30-2.31
S  0.6175  0.3820  0.5921  1 S 2.13, 2 Co 2.30-2.31
S  0.3825  0.6180  0.4079  1 S 2.13, 2 Co 2.30-2.31
S  0.4029  0.9000  0.8834  1 S 2.07
S  0.0971  0.4000  0.8834  1 S 2.07
S  0.9029  0.6000  0.1166  1 S 2.07
S  0.5971  0.1000  0.1166  1 S 2.07
S  0.1175  0.1180  0.4079  1 S 2.13, 2 Co 2.30-2.31
Co  0.0000  0.5000  0.5000  6 S 2.30-2.33
Co  0.5000  0.0000  0.5000  6 S 2.30-2.33



3.
# MgTi2

A relaxed structure of MgTi2 (PBE, the Materials Project).

Computed properties:
Density ... 3575 kg/m3
DFT total energy ... -5.64 eV/atom
Formation energy from the elements ... 0.155 eV per atom

Lattice parameters (Å, degrees): 5.4840 5.4840 4.6672 90.00 90.00 127.40
Closest atoms and distances in Å follow each position.
Element x y z (fractional)
Mg  0.8022  0.8022  0.2500  10 Ti 2.95-3.19, 2 Mg 3.02
Mg  0.1978  0.1978  0.7500  10 Ti 2.95-3.19, 2 Mg 3.02
Ti  0.1351  0.4870  0.2500  6 Ti 2.81-2.97, 4 Mg 2.95-3.02
Ti  0.5130  0.8649  0.7500  6 Ti 2.81-2.97, 4 Mg 2.95-3.02
Ti  0.8649  0.5130  0.7500  6 Ti 2.81-2.97, 4 Mg 2.95-3.02
Ti  0.4870  0.1351  0.2500  6 Ti 2.81-2.97, 4 Mg 2.95-3.02



4.
# Ba5As3

A relaxed structure of Ba5As3 (PBE, the Materials Project).

Computed properties:
Density ... 4894 kg/m3
DFT total energy ... -3.96 eV/atom
Formation energy from the elements ... -1.009 eV per atom

Lattice parameters (Å, degrees): 9.5657 9.5657 7.8049 90.00 90.00 120.00
Closest atoms and distances in Å follow each position.
Element x y z (fractional)
As  0.6070  0.0000  0.7500  7 Ba 3.31-3.53
As  0.6070  0.6070  0.2500  7 Ba 3.31-3.53
As  0.3930  0.3930  0.7500  7 Ba 3.31-3.53
As  0.0000  0.3930  0.2500  7 Ba 3.31-3.53
As  0.3930  0.0000  0.2500  7 Ba 3.31-3.53
As  0.0000  0.6070  0.7500  7 Ba 3.31-3.53
Ba  0.3333  0.6667  0.0000  6 As 3.53, 2 Ba 3.90
Ba  0.2571  0.0000  0.7500  3 As 3.31-3.35
Ba  0.6667  0.3333  0.0000  6 As 3.53, 2 Ba 3.90
Ba  0.3333  0.6667  0.5000  6 As 3.53, 2 Ba 3.90
Ba  0.7429  0.0000  0.2500  3 As 3.31-3.35
Ba  0.6667  0.3333  0.5000  6 As 3.53, 2 Ba 3.90
Ba  0.0000  0.7429  0.2500  3 As 3.31-3.35
Ba  0.7429  0.7429  0.7500  3 As 3.31-3.35
Ba  0.2571  0.2571  0.2500  3 As 3.31-3.35
Ba  0.0000  0.2571  0.7500  3 As 3.31-3.35



5.
# La5Ge3

A relaxed structure of La5Ge3 (PBE, the Materials Project).

Computed properties:
Density ... 6166 kg/m3
DFT total energy ... -5.51 eV/atom
Formation energy from the elements ... -0.695 eV per atom

Lattice parameters (Å, degrees): 9.0786 9.0786 6.8856 90.00 90.00 120.00
Closest atoms and distances in Å follow each position.
Element x y z (fractional)
La  0.6667  0.3333  0.5000  6 Ge 3.29, 2 La 3.44
La  0.7513  0.0000  0.2500  3 Ge 3.11-3.27
La  0.6667  0.3333  0.0000  6 Ge 3.29, 2 La 3.44
La  0.0000  0.2487  0.7500  3 Ge 3.11-3.27
La  0.7513  0.7513  0.7500  3 Ge 3.11-3.27
La  0.0000  0.7513  0.2500  3 Ge 3.11-3.27
La  0.3333  0.6667  0.5000  6 Ge 3.29, 2 La 3.44
La  0.2487  0.2487  0.2500  3 Ge 3.11-3.27
La  0.2487  0.0000  0.7500  3 Ge 3.11-3.27
La  0.3333  0.6667  0.0000  6 Ge 3.29, 2 La 3.44
Ge  0.0000  0.3906  0.2500  7 La 3.11-3.29
Ge  0.3906  0.0000  0.2500  7 La 3.11-3.29
Ge  0.0000  0.6094  0.7500  7 La 3.11-3.29
Ge  0.3906  0.3906  0.7500  7 La 3.11-3.29
Ge  0.6094  0.0000  0.7500  7 La 3.11-3.29
Ge  0.6094  0.6094  0.2500  7 La 3.11-3.29



6.
# MgSi

A relaxed structure of MgSi (PBE, the Materials Project).

Computed properties:
Density ... 2295 kg/m3
DFT total energy ... -3.45 eV/atom
Formation energy from the elements ... 0.096 eV per atom

Lattice parameters (Å, degrees): 6.1804 6.1804 9.9753 84.90 84.90 36.84
Closest atoms and distances in Å follow each position.
Element x y z (fractional)
Mg  0.6000  0.6000  0.1308  5 Si 2.70-2.72
Mg  0.7987  0.7987  0.8746  4 Si 2.66-2.79
Mg  0.5079  0.5079  0.8386  5 Si 2.72-2.93
Mg  0.3108  0.3108  0.1562  4 Si 2.73-2.94
Mg  0.9882  0.9882  0.3447  8 Si 2.79-3.10, 2 Mg 3.09
Mg  0.1901  0.1901  0.6671  4 Si 2.63-2.82
Si  0.9209  0.9209  0.6205  2 Si 2.48
Si  0.3108  0.3108  0.4307  2 Si 2.52, 2 Mg 2.63-2.74
Si  0.9576  0.9576  0.0556  1 Si 2.43, 3 Mg 2.71-2.72
Si  0.6900  0.6900  0.3700  3 Si 2.45-2.52, 1 Mg 2.70
Si  0.1518  0.1518  0.9455  1 Si 2.43, 4 Mg 2.66-2.72
Si  0.5472  0.5472  0.5656  3 Si 2.45-2.48, 1 Mg 2.72



7.
# LiYMg6

A relaxed structure of LiYMg6 (PBE, the Materials Project).

Computed properties:
Density ... 2078 kg/m3
DFT total energy ... -2.23 eV/atom
ΔE to the lowest computed polymorph ... 8 meV per atom
Formation energy from the elements ... 0.014 eV per atom

Lattice parameters (Å, degrees): 5.1340 6.5828 11.4276 90.00 90.00 90.00
Closest atoms and distances in Å follow each position.
Element x y z (fractional)
Mg  0.0000  0.0000  0.3360  10 Mg 3.17-3.37, 2 Y 3.22
Mg  0.0000  0.2579  0.0818  2 Li 3.16, 8 Mg 3.16-3.40, 2 Y 3.22
Mg  0.0000  0.7421  0.0818  2 Li 3.16, 8 Mg 3.16-3.40, 2 Y 3.22
Mg  0.0000  0.7579  0.5818  2 Li 3.16, 8 Mg 3.16-3.40, 2 Y 3.22
Mg  0.0000  0.2421  0.5818  2 Li 3.16, 8 Mg 3.16-3.40, 2 Y 3.22
Mg  0.5000  0.2577  0.9199  8 Mg 3.16-3.39, 2 Li 3.20-3.39, 2 Y 3.29-3.31
Mg  0.0000  0.5000  0.3315  2 Li 3.21, 10 Mg 3.24-3.33
Mg  0.5000  0.2423  0.4199  8 Mg 3.16-3.39, 2 Li 3.20-3.39, 2 Y 3.29-3.31
Mg  0.5000  0.7423  0.9199  8 Mg 3.16-3.39, 2 Li 3.20-3.39, 2 Y 3.29-3.31
Mg  0.0000  0.0000  0.8315  2 Li 3.21, 10 Mg 3.24-3.33
Mg  0.0000  0.5000  0.8360  10 Mg 3.17-3.37, 2 Y 3.22
Mg  0.5000  0.7577  0.4199  8 Mg 3.16-3.39, 2 Li 3.20-3.39, 2 Y 3.29-3.31
Li  0.5000  0.0000  0.6630  10 Mg 3.16-3.39, 2 Y 3.29
Li  0.5000  0.5000  0.1630  10 Mg 3.16-3.39, 2 Y 3.29
Y  0.5000  0.5000  0.6661  10 Mg 3.22-3.31, 2 Li 3.29
Y  0.5000  0.0000  0.1661  10 Mg 3.22-3.31, 2 Li 3.29



8.
# Tb3Ga15Ru4

A relaxed structure of Tb3Ga15Ru4 (PBE, the Materials Project).

Computed properties:
Density ... 8419 kg/m3
DFT total energy ... -4.91 eV/atom
Formation energy from the elements ... -0.522 eV per atom

Lattice parameters (Å, degrees): 8.8091 9.6820 17.8242 90.00 90.00 90.00
Closest atoms and distances in Å follow each position.
Element x y z (fractional)
Ga  0.1955  0.7500  0.4181  2 Ru 2.60, 5 Ga 2.67-2.77
Ga  0.3735  0.5605  0.7528  2 Ru 2.51-2.54, 2 Ga 2.59-2.77
Ga  0.3735  0.9395  0.7528  2 Ru 2.51-2.54, 2 Ga 2.59-2.77
Ga  0.8775  0.0612  0.0347  3 Ru 2.69-2.72, 6 Ga 2.73-2.97
Ga  0.9510  0.2500  0.9224  2 Ru 2.65, 5 Ga 2.66-2.79
Ga  0.1263  0.9314  0.5329  3 Ru 2.63-2.65, 5 Ga 2.76-2.90
Ga  0.1263  0.5686  0.5329  3 Ru 2.63-2.65, 5 Ga 2.76-2.90
Ga  0.6255  0.0773  0.6684  2 Ru 2.58-2.61, 4 Ga 2.73-2.85
Ga  0.4925  0.7500  0.6684  4 Ga 2.51-2.59, 2 Ru 2.79
Ga  0.6241  0.4131  0.8282  2 Ru 2.56, 1 Ga 2.85
Ga  0.8745  0.9227  0.1684  2 Ru 2.58-2.61, 4 Ga 2.73-2.85
Ga  0.1225  0.5612  0.9653  3 Ru 2.69-2.72, 6 Ga 2.73-2.97
Ga  0.8735  0.9395  0.7472  2 Ru 2.51-2.54, 2 Ga 2.59-2.77
Ga  0.6263  0.5686  0.9671  3 Ru 2.63-2.65, 5 Ga 2.76-2.90
Ga  0.8737  0.4314  0.4671  3 Ru 2.63-2.65, 5 Ga 2.76-2.90
Ga  0.8735  0.5605  0.7472  2 Ru 2.51-2.54, 2 Ga 2.59-2.77
Ga  0.8737  0.0686  0.4671  3 Ru 2.63-2.65, 5 Ga 2.76-2.90
Ga  0.8672  0.7500  0.9582  5 Ga 2.51-2.76, 2 Ru 2.70
Ga  0.1225  0.9388  0.9653  3 Ru 2.69-2.72, 6 Ga 2.73-2.97
Ga  0.7213  0.2500  0.1408  3 Ga 2.57-2.77, 2 Ru 2.61
Ga  0.3737  0.0686  0.0329  3 Ru 2.63-2.65, 5 Ga 2.76-2.90
Ga  0.9925  0.7500  0.8316  4 Ga 2.51-2.59, 2 Ru 2.79
Ga  0.3745  0.5773  0.3316  2 Ru 2.58-2.61, 4 Ga 2.73-2.85
Ga  0.8045  0.2500  0.5819  2 Ru 2.60, 5 Ga 2.67-2.77
Ga  0.2213  0.2500  0.3592  3 Ga 2.57-2.77, 2 Ru 2.61
Ga  0.3775  0.0612  0.4653  3 Ru 2.69-2.72, 6 Ga 2.73-2.97
Ga  0.2787  0.7500  0.8592  3 Ga 2.57-2.77, 2 Ru 2.61
Ga  0.1328  0.2500  0.0418  5 Ga 2.51-2.76, 2 Ru 2.70
Ga  0.8745  0.5773  0.1684  2 Ru 2.58-2.61, 4 Ga 2.73-2.85
Ga  0.5075  0.2500  0.3316  4 Ga 2.51-2.59, 2 Ru 2.79
Ga  0.8775  0.4388  0.0347  3 Ru 2.69-2.72, 6 Ga 2.73-2.97
Ga  0.3745  0.9227  0.3316  2 Ru 2.58-2.61, 4 Ga 2.73-2.85
Ga  0.3775  0.4388  0.4653  3 Ru 2.69-2.72, 6 Ga 2.73-2.97
Ga  0.6263  0.9314  0.9671  3 Ru 2.63-2.65, 5 Ga 2.76-2.90
Ga  0.1265  0.4395  0.2528  2 Ru 2.51-2.54, 2 Ga 2.59-2.77
Ga  0.3737  0.4314  0.0329  3 Ru 2.63-2.65, 5 Ga 2.76-2.90
Ga  0.8759  0.9131  0.3282  2 Ru 2.56, 1 Ga 2.85
Ga  0.3045  0.2500  0.9181  2 Ru 2.60, 5 Ga 2.67-2.77
Ga  0.6265  0.4395  0.2472  2 Ru 2.51-2.54, 2 Ga 2.59-2.77
Ga  0.0490  0.7500  0.0776  2 Ru 2.65, 5 Ga 2.66-2.79
Ga  0.1265  0.0605  0.2528  2 Ru 2.51-2.54, 2 Ga 2.59-2.77
Ga  0.1255  0.0773  0.8316  2 Ru 2.58-2.61, 4 Ga 2.73-2.85
Ga  0.6225  0.5612  0.5347  3 Ru 2.69-2.72, 6 Ga 2.73-2.97
Ga  0.6241  0.0869  0.8282  2 Ru 2.56, 1 Ga 2.85
Ga  0.3672  0.7500  0.5418  5 Ga 2.51-2.76, 2 Ru 2.70
Ga  0.7787  0.7500  0.6408  3 Ga 2.57-2.77, 2 Ru 2.61
Ga  0.6265  0.0605  0.2472  2 Ru 2.51-2.54, 2 Ga 2.59-2.77
Ga  0.1241  0.0869  0.6718  2 Ru 2.56, 1 Ga 2.85
Ga  0.5490  0.7500  0.4224  2 Ru 2.65, 5 Ga 2.66-2.79
Ga  0.3759  0.5869  0.1718  2 Ru 2.56, 1 Ga 2.85
Ga  0.1241  0.4131  0.6718  2 Ru 2.56, 1 Ga 2.85
Ga  0.0075  0.2500  0.1684  4 Ga 2.51-2.59, 2 Ru 2.79
Ga  0.6328  0.2500  0.4582  5 Ga 2.51-2.76, 2 Ru 2.70
Ga  0.1255  0.4227  0.8316  2 Ru 2.58-2.61, 4 Ga 2.73-2.85
Ga  0.8759  0.5869  0.3282  2 Ru 2.56, 1 Ga 2.85
Ga  0.4510  0.2500  0.5776  2 Ru 2.65, 5 Ga 2.66-2.79
Ga  0.6225  0.9388  0.5347  3 Ru 2.69-2.72, 6 Ga 2.73-2.97
Ga  0.3759  0.9131  0.1718  2 Ru 2.56, 1 Ga 2.85
Ga  0.6955  0.7500  0.0819  2 Ru 2.60, 5 Ga 2.67-2.77
Ga  0.6255  0.4227  0.6684  2 Ru 2.58-2.61, 4 Ga 2.73-2.85
Ru  0.6302  0.0048  0.3866  9 Ga 2.54-2.79
Ru  0.6178  0.0038  0.1098  8 Ga 2.51-2.71
Ru  0.3698  0.9952  0.6134  9 Ga 2.54-2.79
Ru  0.3698  0.5048  0.6134  9 Ga 2.54-2.79
Ru  0.1178  0.4962  0.3902  8 Ga 2.51-2.71
Ru  0.8822  0.9962  0.6098  8 Ga 2.51-2.71
Ru  0.3822  0.9962  0.8902  8 Ga 2.51-2.71
Ru  0.6178  0.4962  0.1098  8 Ga 2.51-2.71
Ru  0.1178  0.0038  0.3902  8 Ga 2.51-2.71
Ru  0.1302  0.4952  0.1134  9 Ga 2.54-2.79
Ru  0.1302  0.0048  0.1134  9 Ga 2.54-2.79
Ru  0.8822  0.5038  0.6098  8 Ga 2.51-2.71
Ru  0.8698  0.9952  0.8866  9 Ga 2.54-2.79
Ru  0.6302  0.4952  0.3866  9 Ga 2.54-2.79
Ru  0.8698  0.5048  0.8866  9 Ga 2.54-2.79
Ru  0.3822  0.5038  0.8902  8 Ga 2.51-2.71
Tb  0.6243  0.7500  0.8319  12 Ga 2.98-3.26
Tb  0.1247  0.7500  0.2483  12 Ga 3.01-3.14
Tb  0.8742  0.7500  0.4754  11 Ga 3.01-3.09
Tb  0.3742  0.7500  0.0246  11 Ga 3.01-3.09
Tb  0.1243  0.7500  0.6681  12 Ga 2.98-3.26
Tb  0.6258  0.2500  0.9754  11 Ga 3.01-3.09
Tb  0.3757  0.2500  0.1681  12 Ga 2.98-3.26
Tb  0.1258  0.2500  0.5246  11 Ga 3.01-3.09
Tb  0.8757  0.2500  0.3319  12 Ga 2.98-3.26
Tb  0.6247  0.7500  0.2517  12 Ga 3.01-3.14
Tb  0.3753  0.2500  0.7483  12 Ga 3.01-3.14
Tb  0.8753  0.2500  0.7517  12 Ga 3.01-3.14